# 1
First-principles (meta-GGA r2SCAN) data for a geometry-optimized DyLuCu2 structure, as listed in the Materials Project database.

Output
Uncorrected energy   -23.224 eV/atom
DFT formation energy   -0.29 eV/atom

Structure (extended XYZ):
```
4
Lattice="0.0000 3.3988 3.3988 3.3988 0.0000 3.3988 3.3988 3.3988 0.0000" Properties=species:S:1:pos:R:3 pbc="T T T"
Dy 3.3988 3.3988 3.3988
Lu 0.0000 0.0000 0.0000
Cu 5.0982 5.0982 5.0982
Cu 1.6994 1.6994 1.6994
```


# 2
First-principles (meta-GGA r2SCAN) data for a geometry-optimized Dy2MgCu2 structure, as listed in the Materials Project database.

Output
Uncorrected energy   -18.215 eV/atom
DFT formation energy   -0.25 eV/atom

Structure (extended XYZ):
```
10
Lattice="-6.8036 1.7784 -2.8735 -2.7061 -6.7361 2.2384 -0.9767 1.4613 3.2170" Properties=species:S:1:pos:R:3 pbc="T T T"
Mg 0.0000 0.0000 0.0000
Dy -2.5383 -1.1892 1.8582
Cu -6.6110 -4.8016 0.1741
Cu -2.8988 -0.1561 -0.8092
Dy -5.5077 0.7766 0.0637
Dy -4.9787 -4.2730 2.5182
Mg -4.7549 -2.4789 -0.3175
Cu -2.5206 -3.9767 1.0412
Dy -7.9481 -2.3072 0.7237
Cu -6.9892 -0.9810 -1.6763
```


# 3
First-principles (meta-GGA r2SCAN) data for a geometry-optimized Dy2CuOs structure, as listed in the Materials Project database.

Output
Uncorrected energy   -32.261 eV/atom
DFT formation energy   -0.31 eV/atom

Structure (extended XYZ):
```
4
Lattice="-1.0214 2.4427 4.0227 -2.3760 4.1809 -0.2594 -4.5491 0.2848 1.5547" Properties=species:S:1:pos:R:3 pbc="T T T"
Os -5.9599 5.1813 3.9885
Dy 0.0000 0.0000 0.0000
Cu -1.9866 1.7271 1.3295
Dy -3.9733 3.4542 2.6590
```


# 4
First-principles (meta-GGA r2SCAN) data for a geometry-optimized Dy5CuPb3 structure, as listed in the Materials Project database.

Output
Uncorrected energy   -38.370 eV/atom
DFT formation energy   -0.64 eV/atom

Structure (extended XYZ):
```
18
Lattice="4.5615 -7.9007 0.0000 4.5615 7.9007 0.0000 0.0000 0.0000 6.6816" Properties=species:S:1:pos:R:3 pbc="T T T"
Dy 4.5615 -2.6336 0.0000
Pb 2.7830 4.8204 1.6704
Dy 1.1462 -1.9853 1.6704
Pb 3.5568 0.0000 1.6704
Cu 0.0000 0.0000 0.0000
Dy 6.8304 0.0000 1.6704
Dy 4.5615 2.6336 3.3408
Dy 4.5615 -2.6336 3.3408
Pb 5.5661 0.0000 5.0112
Dy 1.1462 1.9853 1.6704
Pb 1.7784 3.0803 5.0112
Dy 3.4152 -5.9153 5.0112
Cu 0.0000 0.0000 3.3408
Dy 3.4152 5.9153 5.0112
Pb 1.7784 -3.0803 5.0112
Dy 2.2925 0.0000 5.0112
Pb 2.7830 -4.8204 1.6704
Dy 4.5615 2.6336 0.0000
```